# 1
# Mg3Ga2N4 (PBE, relaxed)
data_Mg3Ga2N4
_chemical_formula_sum 'Mg12 Ga8 N16'
_cell_length_a 5.327
_cell_length_b 10.351
_cell_length_c 8.291
_cell_angle_alpha 90.00
_cell_angle_beta 90.00
_cell_angle_gamma 90.00
_symmetry_space_group_name_H-M 'P 1'
_symmetry_Int_Tables_number 1
loop_
_symmetry_equiv_pos_as_xyz
'x,y,z'
loop_
_atom_site_label
_atom_site_fract_x
_atom_site_fract_y
_atom_site_fract_z
Mg1 0.664 0.171 0.391
Mg2 0.836 0.829 0.391
Mg3 0.664 0.329 0.109
Mg4 0.836 0.671 0.109
Mg5 0.336 0.829 0.609
Mg6 0.164 0.171 0.609
Mg7 0.336 0.671 0.891
Mg8 0.164 0.329 0.891
Mg9 0.750 0.500 0.446
Mg10 0.750 0.000 0.054
Mg11 0.250 0.500 0.554
Mg12 0.250 0.000 0.946
Ga1 0.750 0.500 0.792
Ga2 0.750 0.000 0.708
Ga3 0.250 0.500 0.208
Ga4 0.250 0.000 0.292
Ga5 0.711 0.250 0.750
Ga6 0.789 0.750 0.750
Ga7 0.289 0.750 0.250
Ga8 0.211 0.250 0.250
N1 0.971 0.380 0.654
N2 0.529 0.620 0.654
N3 0.971 0.120 0.846
N4 0.529 0.880 0.846
N5 0.029 0.620 0.346
N6 0.471 0.380 0.346
N7 0.029 0.880 0.154
N8 0.471 0.120 0.154
N9 0.537 0.369 0.884
N10 0.963 0.631 0.884
N11 0.537 0.131 0.616
N12 0.963 0.869 0.616
N13 0.463 0.631 0.116
N14 0.037 0.369 0.116
N15 0.463 0.869 0.384
N16 0.037 0.131 0.384
# **Distance to the lowest polymorph of the same formula**: 51.3 meV/atom
# **Total magnetic moment**: 0.0 μB per cell
# **Crystal system**: orthorhombic
# **SG**: No. 52

=====

# 2
# MgGaN (PBE, relaxed)
data_MgGaN
_chemical_formula_sum 'Mg4 Ga4 N4'
_cell_length_a 7.634
_cell_length_b 3.692
_cell_length_c 5.803
_cell_angle_alpha 90.00
_cell_angle_beta 90.00
_cell_angle_gamma 90.00
_symmetry_space_group_name_H-M 'P 1'
_symmetry_Int_Tables_number 1
loop_
_symmetry_equiv_pos_as_xyz
'x,y,z'
loop_
_atom_site_label
_atom_site_fract_x
_atom_site_fract_y
_atom_site_fract_z
Mg1 0.615 0.250 0.386
Mg2 0.115 0.250 0.114
Mg3 0.385 0.750 0.614
Mg4 0.885 0.750 0.886
Ga1 0.601 0.250 0.899
Ga2 0.101 0.250 0.601
Ga3 0.399 0.750 0.101
Ga4 0.899 0.750 0.399
N1 0.820 0.250 0.074
N2 0.320 0.250 0.426
N3 0.180 0.750 0.926
N4 0.680 0.750 0.574
# **Total magnetic moment**: 0.0 μB per cell
# **Crystal system**: orthorhombic
# **VASP energy**: -4.5104 eV/atom
# **SG**: No. 62

=====

# 3
# SrMg2Ga2N4 (PBE, relaxed)
data_SrMg2Ga2N4
_chemical_formula_sum 'Sr1 Mg2 Ga2 N4'
_cell_length_a 3.367
_cell_length_b 6.155
_cell_length_c 6.196
_cell_angle_alpha 94.23
_cell_angle_beta 105.77
_cell_angle_gamma 74.13
_symmetry_space_group_name_H-M 'P 1'
_symmetry_Int_Tables_number 1
loop_
_symmetry_equiv_pos_as_xyz
'x,y,z'
loop_
_atom_site_label
_atom_site_fract_x
_atom_site_fract_y
_atom_site_fract_z
Sr1 0.995 0.010 0.000
Mg1 0.823 0.542 0.188
Mg2 0.630 0.193 0.453
Ga1 0.192 0.444 0.827
Ga2 0.360 0.828 0.548
N1 0.589 0.637 0.816
N2 0.400 0.345 0.145
N3 0.766 0.836 0.368
N4 0.245 0.165 0.655
# **Crystal system**: monoclinic
# **VASP energy**: -5.5610 eV/atom
# **SG**: No. 8

=====

# 4
# NaMg14Ga (PBE, relaxed)
data_NaMg14Ga
_chemical_formula_sum 'Na1 Mg14 Ga1'
_cell_length_a 6.335
_cell_length_b 6.335
_cell_length_c 10.491
_cell_angle_alpha 90.00
_cell_angle_beta 90.00
_cell_angle_gamma 120.00
_symmetry_space_group_name_H-M 'P 1'
_symmetry_Int_Tables_number 1
loop_
_symmetry_equiv_pos_as_xyz
'x,y,z'
loop_
_atom_site_label
_atom_site_fract_x
_atom_site_fract_y
_atom_site_fract_z
Na1 0.167 0.333 0.125
Mg1 0.168 0.834 0.125
Mg2 0.166 0.833 0.625
Mg3 0.666 0.332 0.125
Mg4 0.667 0.334 0.625
Mg5 0.666 0.834 0.125
Mg6 0.667 0.833 0.625
Mg7 0.333 0.167 0.378
Mg8 0.333 0.167 0.872
Mg9 0.333 0.666 0.378
Mg10 0.333 0.666 0.872
Mg11 0.834 0.167 0.378
Mg12 0.834 0.167 0.872
Mg13 0.833 0.667 0.373
Mg14 0.833 0.667 0.877
Ga1 0.167 0.333 0.625
# **Distance to the lowest polymorph of the same formula**: 8.9 meV/atom
# **Total magnetic moment**: 0.0 μB per cell
# **Crystal system**: hexagonal
# **SG**: No. 187

=====

# 5
# NaMg6Ga (PBE, relaxed)
data_NaMg6Ga
_chemical_formula_sum 'Na2 Mg12 Ga2'
_cell_length_a 5.111
_cell_length_b 6.376
_cell_length_c 11.184
_cell_angle_alpha 90.00
_cell_angle_beta 90.00
_cell_angle_gamma 90.00
_symmetry_space_group_name_H-M 'P 1'
_symmetry_Int_Tables_number 1
loop_
_symmetry_equiv_pos_as_xyz
'x,y,z'
loop_
_atom_site_label
_atom_site_fract_x
_atom_site_fract_y
_atom_site_fract_z
Na1 0.500 0.000 0.167
Na2 0.500 0.500 0.667
Mg1 0.500 0.248 0.417
Mg2 0.500 0.752 0.417
Mg3 0.000 0.745 0.084
Mg4 0.000 0.255 0.084
Mg5 0.000 0.000 0.335
Mg6 0.000 0.500 0.332
Mg7 0.500 0.748 0.917
Mg8 0.500 0.252 0.917
Mg9 0.000 0.245 0.584
Mg10 0.000 0.755 0.584
Mg11 0.000 0.500 0.835
Mg12 0.000 0.000 0.832
Ga1 0.500 0.500 0.165
Ga2 0.500 0.000 0.665
# **Total magnetic moment**: 0.0 μB per cell
# **VASP energy**: -1.7254 eV/atom

=====

# 6
# NaMg14Ga (PBE, relaxed)
data_NaMg14Ga
_chemical_formula_sum 'Na1 Mg14 Ga1'
_cell_length_a 6.352
_cell_length_b 6.396
_cell_length_c 10.369
_cell_angle_alpha 90.00
_cell_angle_beta 90.00
_cell_angle_gamma 120.23
_symmetry_space_group_name_H-M 'P 1'
_symmetry_Int_Tables_number 1
loop_
_symmetry_equiv_pos_as_xyz
'x,y,z'
loop_
_atom_site_label
_atom_site_fract_x
_atom_site_fract_y
_atom_site_fract_z
Na1 0.166 0.333 0.125
Mg1 0.168 0.334 0.625
Mg2 0.167 0.834 0.625
Mg3 0.668 0.330 0.125
Mg4 0.666 0.334 0.625
Mg5 0.668 0.838 0.125
Mg6 0.666 0.833 0.625
Mg7 0.332 0.161 0.374
Mg8 0.332 0.161 0.876
Mg9 0.332 0.671 0.374
Mg10 0.332 0.671 0.876
Mg11 0.829 0.165 0.379
Mg12 0.829 0.165 0.871
Mg13 0.836 0.668 0.370
Mg14 0.836 0.668 0.880
Ga1 0.173 0.837 0.125
# **Distance to the lowest polymorph of the same formula**: 0.0 meV/atom
# **Total magnetic moment**: 0.0 μB per cell
# **Crystal system**: orthorhombic
# **SG**: No. 38

=====

# 7
# NaMg6Ga (PBE, relaxed)
data_NaMg6Ga
_chemical_formula_sum 'Na2 Mg12 Ga2'
_cell_length_a 5.131
_cell_length_b 6.414
_cell_length_c 11.101
_cell_angle_alpha 90.00
_cell_angle_beta 90.00
_cell_angle_gamma 90.00
_symmetry_space_group_name_H-M 'P 1'
_symmetry_Int_Tables_number 1
loop_
_symmetry_equiv_pos_as_xyz
'x,y,z'
loop_
_atom_site_label
_atom_site_fract_x
_atom_site_fract_y
_atom_site_fract_z
Na1 0.000 0.500 0.331
Na2 0.000 0.000 0.831
Mg1 0.000 0.255 0.084
Mg2 0.000 0.745 0.084
Mg3 0.000 0.500 0.835
Mg4 0.500 0.254 0.917
Mg5 0.500 0.746 0.917
Mg6 0.500 0.500 0.667
Mg7 0.000 0.755 0.584
Mg8 0.000 0.245 0.584
Mg9 0.000 0.000 0.335
Mg10 0.500 0.754 0.417
Mg11 0.500 0.246 0.417
Mg12 0.500 0.000 0.167
Ga1 0.500 0.500 0.165
Ga2 0.500 0.000 0.665
# **Total magnetic moment**: 0.0 μB per cell
# **VASP energy**: -1.7261 eV/atom

=====

# 8
# NaMg6GaO8 (PBE, relaxed)
data_NaMg6GaO8
_chemical_formula_sum 'Na1 Mg6 Ga1 O8'
_cell_length_a 8.592
_cell_length_b 4.273
_cell_length_c 4.273
_cell_angle_alpha 90.00
_cell_angle_beta 90.00
_cell_angle_gamma 90.00
_symmetry_space_group_name_H-M 'P 1'
_symmetry_Int_Tables_number 1
loop_
_symmetry_equiv_pos_as_xyz
'x,y,z'
loop_
_atom_site_label
_atom_site_fract_x
_atom_site_fract_y
_atom_site_fract_z
Na1 0.000 0.000 0.000
Mg1 0.500 0.000 0.000
Mg2 0.500 0.500 0.500
Mg3 0.249 0.000 0.500
Mg4 0.751 0.000 0.500
Mg5 0.249 0.500 0.000
Mg6 0.751 0.500 0.000
Ga1 0.000 0.500 0.500
O1 0.265 0.000 0.000
O2 0.735 0.000 0.000
O3 0.237 0.500 0.500
O4 0.763 0.500 0.500
O5 0.000 0.000 0.500
O6 0.500 0.000 0.500
O7 0.000 0.500 0.000
O8 0.500 0.500 0.000
# **Distance to the lowest polymorph of the same formula**: 16.0 meV/atom
# **Total magnetic moment**: 0.0 μB per cell
# **Crystal system**: tetragonal
# **SG**: No. 123

=====

# 9
# NaMg6GaO8 (PBE, relaxed)
data_NaMg6GaO8
_chemical_formula_sum 'Na1 Mg6 Ga1 O8'
_cell_length_a 8.482
_cell_length_b 4.326
_cell_length_c 4.326
_cell_angle_alpha 90.00
_cell_angle_beta 90.00
_cell_angle_gamma 90.00
_symmetry_space_group_name_H-M 'P 1'
_symmetry_Int_Tables_number 1
loop_
_symmetry_equiv_pos_as_xyz
'x,y,z'
loop_
_atom_site_label
_atom_site_fract_x
_atom_site_fract_y
_atom_site_fract_z
Na1 0.000 0.000 0.000
Mg1 0.000 0.500 0.500
Mg2 0.500 0.500 0.500
Mg3 0.241 0.000 0.500
Mg4 0.759 0.000 0.500
Mg5 0.241 0.500 0.000
Mg6 0.759 0.500 0.000
Ga1 0.500 0.000 0.000
O1 0.277 0.000 0.000
O2 0.723 0.000 0.000
O3 0.253 0.500 0.500
O4 0.747 0.500 0.500
O5 0.000 0.000 0.500
O6 0.500 0.000 0.500
O7 0.000 0.500 0.000
O8 0.500 0.500 0.000
# **Distance to the lowest polymorph of the same formula**: 0.0 meV/atom
# **Total magnetic moment**: 0.0 μB per cell
# **Crystal system**: tetragonal
# **SG**: No. 123

=====

# 10
# Na7MgGa3P6O24 (PBE, relaxed)
data_Na7MgGa3P6O24
_chemical_formula_sum 'Na21 Mg3 Ga9 P18 O72'
_cell_length_a 8.813
_cell_length_b 8.811
_cell_length_c 21.848
_cell_angle_alpha 90.03
_cell_angle_beta 90.01
_cell_angle_gamma 119.99
_symmetry_space_group_name_H-M 'P 1'
_symmetry_Int_Tables_number 1
loop_
_symmetry_equiv_pos_as_xyz
'x,y,z'
loop_
_atom_site_label
_atom_site_fract_x
_atom_site_fract_y
_atom_site_fract_z
Na1 0.636 0.004 0.248
Na2 0.367 0.363 0.248
Na3 0.996 0.632 0.247
Na4 0.634 0.630 0.749
Na5 0.997 0.367 0.749
Na6 0.369 0.003 0.749
Na7 0.030 0.698 0.584
Na8 0.665 0.969 0.584
Na9 0.303 0.969 0.084
Na10 0.668 0.697 0.084
Na11 0.699 0.034 0.918
Na12 0.333 0.300 0.918
Na13 0.967 0.297 0.415
Na14 0.330 0.033 0.416
Na15 0.703 0.670 0.415
Na16 0.006 0.007 0.501
Na17 0.000 0.000 0.001
Na18 0.673 0.341 0.835
Na19 0.667 0.333 0.331
Na20 0.326 0.659 0.165
Na21 0.333 0.659 0.665
Mg1 0.000 0.001 0.351
Mg2 0.666 0.334 0.683
Mg3 0.668 0.334 0.183
Ga1 0.000 0.995 0.852
Ga2 0.006 0.006 0.648
Ga3 0.001 0.006 0.149
Ga4 0.674 0.340 0.985
Ga5 0.665 0.333 0.486
Ga6 0.326 0.661 0.018
Ga7 0.333 0.661 0.518
Ga8 0.333 0.666 0.316
Ga9 0.331 0.665 0.819
P1 0.292 0.999 0.251
P2 0.707 0.707 0.251
P3 0.001 0.293 0.251
P4 0.289 0.291 0.751
P5 0.002 0.711 0.750
P6 0.709 0.998 0.751
P7 0.963 0.334 0.584
P8 0.372 0.041 0.583
P9 0.663 0.626 0.584
P10 0.962 0.626 0.084
P11 0.669 0.041 0.083
P12 0.371 0.334 0.083
P13 0.627 0.666 0.917
P14 0.040 0.377 0.916
P15 0.331 0.957 0.917
P16 0.623 0.958 0.418
P17 0.335 0.377 0.417
P18 0.042 0.665 0.418
O1 0.213 0.032 0.308
O2 0.819 0.788 0.308
O3 0.968 0.182 0.309
O4 0.208 0.175 0.809
O5 0.965 0.796 0.806
O6 0.827 0.033 0.808
O7 0.789 0.961 0.693
O8 0.168 0.209 0.695
O9 0.039 0.826 0.692
O10 0.787 0.826 0.193
O11 0.040 0.210 0.195
O12 0.174 0.962 0.193
O13 0.884 0.369 0.640
O14 0.487 0.117 0.640
O15 0.636 0.517 0.641
O16 0.885 0.519 0.142
O17 0.630 0.117 0.140
O18 0.486 0.370 0.140
O19 0.453 0.297 0.025
O20 0.840 0.545 0.027
O21 0.698 0.152 0.024
O22 0.454 0.152 0.525
O23 0.703 0.547 0.526
O24 0.844 0.296 0.525
O25 0.544 0.703 0.973
O26 0.164 0.459 0.971
O27 0.302 0.844 0.974
O28 0.540 0.841 0.475
O29 0.299 0.462 0.473
O30 0.159 0.699 0.475
O31 0.122 0.628 0.360
O32 0.506 0.878 0.360
O33 0.373 0.493 0.359
O34 0.119 0.486 0.857
O35 0.370 0.878 0.859
O36 0.510 0.630 0.859
O37 0.022 0.828 0.413
O38 0.806 0.978 0.413
O39 0.173 0.194 0.412
O40 0.022 0.191 0.910
O41 0.169 0.982 0.911
O42 0.808 0.836 0.910
O43 0.974 0.163 0.589
O44 0.185 0.016 0.588
O45 0.833 0.812 0.588
O46 0.980 0.813 0.088
O47 0.831 0.015 0.088
O48 0.190 0.164 0.089
O49 0.689 0.161 0.745
O50 0.472 0.311 0.746
O51 0.839 0.527 0.745
O52 0.684 0.524 0.245
O53 0.839 0.315 0.244
O54 0.476 0.161 0.244
O55 0.639 0.498 0.923
O56 0.854 0.351 0.923
O57 0.498 0.142 0.922
O58 0.641 0.144 0.423
O59 0.503 0.360 0.423
O60 0.857 0.497 0.423
O61 0.359 0.503 0.075
O62 0.149 0.652 0.076
O63 0.501 0.854 0.076
O64 0.353 0.854 0.576
O65 0.503 0.653 0.576
O66 0.144 0.502 0.576
O67 0.309 0.830 0.256
O68 0.521 0.691 0.256
O69 0.170 0.479 0.256
O70 0.308 0.477 0.757
O71 0.170 0.694 0.756
O72 0.524 0.831 0.756
# **Total magnetic moment**: 0.0 μB per cell
# **Crystal system**: triclinic
# **VASP energy**: -6.3854 eV/atom
# **SG**: No. 1